Material: Yb4Ir
Method: DFT, meta-GGA r2SCAN
State: optimized geometry

```
10
Lattice="-1.414 5.620 4.809 2.962 6.819 -1.201 -4.435 5.717 -2.088" Properties=species:S:1:pos:R:3 pbc="T T T"
Yb 0.932 5.563 -0.330
Yb -0.398 2.501 0.209
Ir -2.165 13.617 1.140
Yb -1.033 5.024 2.369
Yb 0.224 8.549 1.869
Yb -2.389 5.068 -0.728
Yb -3.097 8.054 1.470
Yb -1.132 8.592 -1.229
Ir 0.000 0.000 0.000
Yb -1.767 11.116 0.931
```

Results
The value obtained for the calculated volume is 30.20 Å³ per atom. The crystal system is cubic. As for the symmetry: Fd-3m (227). Its formation energy is 53 meV/atom.

=====

Material: Sc2CuIr
Method: DFT, meta-GGA r2SCAN
State: optimized geometry

```
4
Lattice="-3.223 -0.794 3.133 -3.402 2.989 0.586 -4.240 -1.079 -1.307" Properties=species:S:1:pos:R:3 pbc="T T T"
Sc -4.240 -1.079 -1.307
Ir -8.148 0.837 1.809
Sc -5.432 0.558 1.206
Cu -2.716 0.279 0.603
```

Results
The value obtained for the calculated volume is 16.81 Å³ per atom. The crystal system is cubic. As for the symmetry: Fm-3m (225). Its formation energy is -747 meV/atom.

=====

Material: Ta3Mn8Al
Method: DFT, meta-GGA r2SCAN
State: optimized geometry

```
12
Lattice="2.432 -4.212 0.000 2.432 4.212 0.000 0.000 0.000 7.809" Properties=species:S:1:pos:R:3 pbc="T T T"
Mn 1.204 0.695 1.961
Mn 1.245 -2.089 5.844
Mn 3.619 -2.089 5.844
Ta 2.432 -1.404 0.539
Mn 2.432 -0.034 5.844
Al 2.432 -1.404 3.421
Mn 3.660 0.695 1.961
Mn 2.432 2.822 1.961
Mn 2.432 1.404 7.773
Ta 0.000 0.000 4.375
Mn 2.432 1.404 3.904
Ta 0.000 0.000 7.331
```

Results
The value obtained for the calculated volume is 13.33 Å³ per atom. The crystal system is trigonal. As for the symmetry: P3m1 (156). Its formation energy is -121 meV/atom.

=====

Material: KAl11O17
Method: DFT, meta-GGA r2SCAN
State: optimized geometry

```
58
Lattice="5.591 0.000 0.000 -2.796 4.842 0.000 0.000 0.000 22.722" Properties=species:S:1:pos:R:3 pbc="T T T"
Al 1.391 4.032 13.765
O -1.381 2.432 19.440
O -2.795 4.842 3.193
O 1.378 2.432 19.440
O 1.315 0.760 21.600
O 4.275 0.760 21.600
Al 5.591 0.000 0.000
O 2.796 1.614 1.248
O 2.797 0.020 3.282
Al 0.002 3.227 3.980
O -1.381 2.432 14.643
O -0.001 3.228 21.475
O 1.480 4.082 10.239
Al 2.797 3.221 2.404
O -0.001 4.822 14.643
O 1.315 0.760 12.483
Al 0.002 3.227 7.381
O 0.002 3.227 5.681
Al 5.591 0.000 11.361
O -1.480 4.082 1.122
O 4.177 2.410 8.079
Al 2.796 3.221 8.957
O -0.001 4.822 19.440
O 2.796 1.614 10.113
Al 2.794 1.615 18.742
Al -0.001 1.622 13.765
K -0.013 3.235 17.042
O 4.275 0.760 12.483
Al 2.795 1.614 11.927
O 4.177 2.410 3.282
O 0.000 1.519 1.122
Al 1.405 0.810 2.404
Al 2.794 1.615 15.341
O 2.797 0.020 8.079
Al 0.000 3.228 0.566
O 5.590 0.000 14.554
Al 2.795 1.614 22.157
Al 1.405 0.810 8.957
O 2.793 1.615 17.042
O -2.795 4.842 8.168
Al -1.393 4.032 20.319
O 2.795 3.323 21.600
O 1.480 4.082 1.122
Al 0.000 3.228 10.795
Al 1.391 4.032 20.318
O 1.417 2.410 3.282
O -0.001 3.228 12.609
O 5.590 0.000 19.529
O 1.417 2.410 8.079
Al 4.188 0.810 2.404
Al -1.393 4.032 13.765
O 1.378 2.432 14.643
Al -0.001 1.622 20.318
Al 4.188 0.810 8.957
O 2.795 3.323 12.483
O -1.480 4.082 10.239
K 2.808 1.607 5.681
O 0.000 1.519 10.239
```

Results
The value obtained for the calculated volume is 10.61 Å³ per atom. The crystal system is orthorhombic. The excess energy over the best structure of this formula in the dataset comes out at 0.00 eV/f.u. As for the symmetry: Cmcm (63). Its formation energy is -3294 meV/atom.

=====

Material: Gd3S4
Method: DFT, meta-GGA r2SCAN
State: optimized geometry

```
14
Lattice="6.859 0.000 -2.425 -3.430 5.940 -2.426 0.000 0.000 7.275" Properties=species:S:1:pos:R:3 pbc="T T T"
S -2.938 5.089 1.560
Gd -1.714 4.455 4.244
S 0.492 0.851 0.347
Gd 3.001 2.228 -0.606
S 2.207 3.821 1.560
S 4.162 2.970 3.985
Gd 5.573 0.743 3.032
Gd -0.429 3.713 0.606
S 0.732 2.970 5.198
S 5.636 2.119 0.348
S 3.430 0.000 5.020
Gd 1.715 1.485 3.031
S 3.430 0.000 1.383
Gd 2.144 5.198 -3.032
```

Results
The value obtained for the calculated volume is 21.17 Å³ per atom. The crystal system is cubic. As for the symmetry: I-43d (220). Its formation energy is -2262 meV/atom.

=====

Material: DyCdNi4
Method: DFT, meta-GGA r2SCAN
State: optimized geometry

```
6
Lattice="0.782 2.249 4.305 -3.275 -0.454 3.643 1.114 -2.649 3.993" Properties=species:S:1:pos:R:3 pbc="T T T"
Dy -0.345 -0.213 2.985
Ni 0.789 -0.306 5.638
Ni -1.426 0.803 5.462
Ni -1.258 -1.670 5.304
Ni -0.864 -0.535 7.477
Cd 0.000 0.000 0.000
```

Results
The value obtained for the calculated volume is 14.03 Å³ per atom. The crystal system is cubic. As for the symmetry: F-43m (216). Its formation energy is -332 meV/atom.

=====

Material: YbHo2Se4
Method: DFT, meta-GGA r2SCAN
State: optimized geometry

```
7
Lattice="-2.060 1.551 3.092 -5.462 0.964 -4.122 -3.924 -5.640 0.214" Properties=species:S:1:pos:R:3 pbc="T T T"
Yb -4.693 -2.338 -1.954
Se -2.366 -1.164 -0.993
Ho 0.000 0.000 0.000
Ho -3.761 1.258 -0.515
Se -6.157 0.042 -1.502
Se -7.020 -3.512 -2.915
Se -5.289 -3.167 0.686
```

Results
The value obtained for the calculated volume is 25.90 Å³ per atom. The crystal system is monoclinic. As for the symmetry: P2/m (10). Its formation energy is -2134 meV/atom.

=====

Material: TmLuRu2
Method: DFT, meta-GGA r2SCAN
State: optimized geometry

```
4
Lattice="0.001 3.318 3.318 3.319 0.000 3.319 3.319 3.319 0.000" Properties=species:S:1:pos:R:3 pbc="T T T"
Tm 4.979 4.977 4.978
Ru 3.319 3.319 0.001
Lu 1.660 1.659 1.659
Ru 3.319 3.319 3.318
```

Results
The value obtained for the calculated volume is 18.27 Å³ per atom. The crystal system is cubic. As for the symmetry: Fm-3m (225). Its formation energy is -498 meV/atom.

=====

Material: Cr3AgO8
Method: DFT, meta-GGA r2SCAN
State: optimized geometry

```
24
Lattice="5.023 -0.042 0.217 2.056 4.582 0.217 -0.168 -0.108 13.686" Properties=species:S:1:pos:R:3 pbc="T T T"
O 3.998 0.912 5.022
O 1.459 0.935 10.690
Cr 6.953 4.459 10.698
O 5.368 3.443 10.272
O 1.774 1.138 6.502
Cr 4.469 2.866 9.020
O 2.496 3.253 5.022
Ag 1.889 4.475 13.903
O 5.222 3.349 0.775
Ag 1.973 4.529 7.060
O 2.998 3.575 2.255
Cr 2.358 1.512 11.942
Cr -0.041 -0.027 3.422
Cr 2.442 1.566 5.099
O 1.689 1.083 13.345
O 4.500 1.234 2.255
O 1.543 0.990 3.848
O 3.913 0.858 11.864
O 5.453 3.497 3.430
O 5.138 3.295 7.617
O 2.412 3.199 11.864
O 2.914 3.521 9.097
Cr 4.554 2.921 2.178
O 4.415 1.180 9.097
```

Results
The value obtained for the calculated volume is 13.18 Å³ per atom. Its formation energy is -1735 meV/atom.

=====

Material: Dy5BiAu2
Method: DFT, meta-GGA r2SCAN
State: optimized geometry

```
16
Lattice="-0.004 -5.518 6.718 -1.858 5.785 6.218 -4.667 -1.087 -7.254" Properties=species:S:1:pos:R:3 pbc="T T T"
Au -4.807 2.086 -0.735
Au -1.722 -2.905 6.417
Au -2.591 -1.743 -0.337
Dy -3.293 -1.462 4.318
Bi -0.466 0.067 3.234
Dy 0.000 0.000 0.000
Dy -2.206 2.740 4.387
Dy -3.812 -1.387 7.928
Dy -4.323 -3.559 1.295
Dy -3.236 0.642 1.364
Au -3.938 0.923 6.019
Dy -3.803 -3.634 -2.316
Bi -1.397 0.201 9.702
Dy -0.931 0.134 6.468
Dy -2.716 0.568 -2.246
Dy -2.726 2.814 7.998
```

Results
The value obtained for the calculated volume is 26.85 Å³ per atom. The crystal system is tetragonal. As for the symmetry: I4/mcm (140). Its formation energy is -809 meV/atom.

=====

Material: Ca3V2O7
Method: DFT, meta-GGA r2SCAN
State: optimized geometry

```
24
Lattice="6.030 6.110 -5.126 -8.339 -5.507 0.322 -2.718 4.223 1.836" Properties=species:S:1:pos:R:3 pbc="T T T"
O 3.416 7.325 -3.541
O -5.373 -0.717 -2.286
O 0.287 3.859 -4.432
V -3.799 0.352 -2.591
O -5.406 3.161 -0.178
Ca 1.510 3.261 -1.731
O 0.303 5.611 -0.652
O -2.310 5.664 -1.352
O -2.720 3.316 -0.103
O -0.814 3.517 -1.984
Ca -1.067 5.690 -3.348
O -3.909 1.014 -0.811
O -5.357 1.035 1.493
Ca -3.863 3.735 -2.224
V -4.028 2.169 0.679
O -2.262 1.440 -2.895
V -0.982 2.630 -3.659
O -7.246 -4.359 -0.236
O 4.639 5.250 -4.742
O -8.469 -2.284 0.965
Ca -1.306 1.311 -0.648
V -1.210 4.446 -0.389
Ca -3.834 -1.060 0.295
Ca -6.411 1.370 -1.322
```

Results
The value obtained for the calculated volume is 11.51 Å³ per atom. The crystal system is orthorhombic. As for the symmetry: Cmc2_1 (36). Its formation energy is -3045 meV/atom.

=====

Material: NpP4S12
Method: DFT, meta-GGA r2SCAN
State: optimized geometry

```
34
Lattice="2.386 2.815 9.847 -3.166 6.707 -7.455 -8.447 -6.120 1.334" Properties=species:S:1:pos:R:3 pbc="T T T"
S -2.395 0.374 -0.202
P -3.716 0.218 -1.849
S -5.753 3.757 -4.627
S -3.167 -0.883 8.501
S -0.488 5.084 3.995
S -2.938 3.596 0.884
S 0.043 2.214 2.474
S -0.678 1.892 6.503
S -5.931 1.498 6.360
S -6.131 -2.129 2.356
S -6.911 3.999 4.172
P -1.777 6.591 3.823
P -2.286 2.456 -0.611
S -7.156 0.961 2.844
P -5.519 3.292 5.602
S -3.657 3.276 4.911
S -5.735 -3.193 8.773
S -2.417 6.668 1.944
P -4.216 -2.310 7.592
Np -3.225 0.728 6.189
S -4.906 -1.593 5.873
Np -0.390 4.761 1.196
S -8.924 -3.040 0.190
P -5.002 5.604 -3.893
S -5.526 -0.405 -1.319
S -8.897 0.251 0.217
S -8.317 2.078 -2.911
S -3.413 5.624 -5.291
S -4.364 5.526 -2.013
S -3.125 0.404 3.390
P -7.849 1.678 1.126
P -6.542 -3.922 3.114
S -6.330 2.561 -0.055
S -3.606 2.299 -2.258
```

Results
The value obtained for the calculated volume is 25.01 Å³ per atom. The crystal system is tetragonal. As for the symmetry: I4_1/a (88). Its formation energy is -556 meV/atom.

=====

Material: KSb5S8
Method: DFT, meta-GGA r2SCAN
State: optimized geometry

```
56
Lattice="19.658 0.000 0.000 0.000 8.375 -0.051 0.000 8.298 9.132" Properties=species:S:1:pos:R:3 pbc="T T T"
S 0.346 5.140 3.840
Sb 10.633 12.743 8.682
S 16.501 3.996 4.119
S 14.168 14.915 8.797
Sb 7.330 11.918 7.209
Sb 4.252 9.356 6.769
Sb 14.564 10.831 4.479
Sb 4.490 9.117 2.709
S 3.870 5.351 1.818
Sb 15.406 5.207 2.203
Sb 12.328 7.769 2.643
S 16.348 3.905 0.393
S 5.769 2.056 0.825
S 0.727 4.804 0.123
S 1.587 11.194 6.295
K 0.995 6.723 6.698
S 6.346 7.920 6.789
Sb 17.148 8.125 8.884
K 8.698 0.055 0.010
S 7.980 13.345 9.071
S 18.071 7.045 1.729
S 4.389 13.277 7.482
S 18.931 8.953 4.690
Sb 13.970 2.126 0.442
S 7.869 5.050 5.370
S 2.197 10.662 2.523
Sb 18.772 10.683 6.408
S 17.461 14.811 7.089
K 18.663 2.574 2.132
Sb 5.094 14.980 9.045
S 5.490 10.767 4.231
S 9.958 6.878 2.595
S 9.699 11.026 7.161
Sb 5.688 6.275 5.008
S 9.024 10.561 2.585
S 13.312 3.772 2.223
S 10.634 14.710 7.152
K 10.960 4.203 4.576
Sb 12.765 7.643 7.030
Sb 9.025 8.595 4.116
S 12.955 11.682 7.668
S 15.788 9.499 6.384
S 19.312 9.289 8.406
S 3.157 8.144 8.685
Sb 2.980 3.637 0.284
S 6.703 7.533 3.102
Sb 16.678 7.785 4.850
Sb 0.886 6.534 1.841
S 11.789 0.901 0.803
Sb 15.168 13.266 7.275
S 11.678 9.196 4.505
S 15.269 9.129 2.916
S 3.310 8.054 4.959
S 13.889 6.204 5.391
Sb 2.510 3.976 4.318
Sb 6.893 3.494 2.464
```

Results
The value obtained for the calculated volume is 27.00 Å³ per atom. The crystal system is monoclinic. As for the symmetry: Pc (7). Its formation energy is -461 meV/atom.

=====

Material: Y2Co3Si5
Method: DFT, meta-GGA r2SCAN
State: optimized geometry

```
20
Lattice="-2.295 -6.124 -4.260 3.935 -4.423 5.086 -3.551 -2.999 2.913" Properties=species:S:1:pos:R:3 pbc="T T T"
Co -3.159 -6.867 -3.496
Co -1.201 -7.678 0.296
Co -0.650 -4.837 -0.588
Si -0.073 -7.040 5.253
Si 0.002 -6.004 1.246
Si -3.521 -7.981 0.081
Y -3.020 -5.243 1.101
Co 1.248 -6.679 7.235
Si -0.358 -10.667 3.557
Si -2.086 -4.040 3.503
Y 1.109 -8.304 2.638
Y 0.439 -3.284 2.170
Si -1.838 -6.507 -1.514
Si -1.553 -2.879 0.182
Si 1.610 -5.566 3.658
Y -2.350 -10.263 1.569
Si -1.914 -7.542 2.492
Si 0.175 -9.507 0.236
Co -1.261 -8.709 4.327
Co -0.710 -5.868 3.443
```

Results
The value obtained for the calculated volume is 14.63 Å³ per atom. The crystal system is monoclinic. As for the symmetry: C2/c (15). Its formation energy is -719 meV/atom.

=====

Material: Lu2ZnGa
Method: DFT, meta-GGA r2SCAN
State: optimized geometry

```
4
Lattice="0.000 3.458 3.458 3.458 0.000 3.458 3.458 3.458 0.000" Properties=species:S:1:pos:R:3 pbc="T T T"
Zn 5.187 5.187 5.187
Lu 3.458 3.458 3.458
Ga 1.729 1.729 1.729
Lu 0.000 0.000 0.000
```

Results
The value obtained for the calculated volume is 20.68 Å³ per atom. The crystal system is cubic. As for the symmetry: Fm-3m (225). Its formation energy is -532 meV/atom.